! Nb3FeSe8S2, optimized geometry, DFT GGA-PBE; values from VASP
&SYSTEM
  ibrav = 0, nat = 14, ntyp = 4
/
ATOMIC_SPECIES
Nb 92.91 Nb.upf
Fe 55.84 Fe.upf
Se 78.96 Se.upf
S 32.06 S.upf
ATOMIC_POSITIONS crystal
Nb 0.000 0.000 0.000
Nb 0.182 0.500 0.711
Nb 0.737 0.000 0.438
Fe 0.914 0.500 0.178
Se 0.215 0.500 0.994
Se 0.295 0.000 0.579
Se 0.414 0.000 0.833
Se 0.504 0.500 0.318
Se 0.626 0.500 0.572
Se 0.724 0.000 0.165
Se 0.945 0.500 0.432
Se 0.969 0.000 0.710
S 0.089 0.000 0.247
S 0.805 0.500 0.934
CELL_PARAMETERS angstrom
9.420 0.000 0.000
0.000 3.501 0.000
-3.992 0.000 9.291
! formation energy from the elements = -729 meV per atom
! electronic total energy = -6.015 eV per atom